An optimized crystal structure of V2Zn2O7, computed with r2SCAN. Values from VASP.

Density = 3.93 g cm⁻³
Uncorrected energy = -10.200 eV/atom
Symmetry = C2/c, No. 15

Geometry as Quantum ESPRESSO input:
```
&SYSTEM
  ibrav = 0, nat = 22, ntyp = 3
/
ATOMIC_SPECIES
V 50.94 V.upf
Zn 65.41 Zn.upf
O 16.00 O.upf
CELL_PARAMETERS angstrom
3.7406 -4.1403 0.0000
3.7406 4.1403 0.0000
-3.7225 0.0000 9.4160
ATOMIC_POSITIONS crystal
V 0.0007 0.5115 0.7064
V 0.4885 0.9993 0.7936
V 0.5115 0.0007 0.2064
V 0.9993 0.4885 0.2936
Zn 0.2481 0.3967 0.0209
Zn 0.3967 0.2481 0.5209
Zn 0.6033 0.7519 0.4791
Zn 0.7519 0.6033 0.9791
O 0.0149 0.5554 0.1378
O 0.1321 0.2995 0.6133
O 0.1872 0.8128 0.7500
O 0.2950 0.4841 0.3945
O 0.2995 0.1321 0.1133
O 0.4446 0.9851 0.3622
O 0.4841 0.2950 0.8945
O 0.5159 0.7050 0.1055
O 0.5554 0.0149 0.6378
O 0.7005 0.8679 0.8867
O 0.7050 0.5159 0.6055
O 0.8128 0.1872 0.2500
O 0.8679 0.7005 0.3867
O 0.9851 0.4446 0.8622
```